The following is a PBE with a Hubbard U calculation of NdEuHfFeO6 after structural relaxation, from the Materials Project. Values from VASP.

```
&SYSTEM
  ibrav = 0, nat = 10, ntyp = 5
/
ATOMIC_SPECIES
Nd 144.24 Nd.upf
Eu 151.96 Eu.upf
Hf 178.49 Hf.upf
Fe 55.84 Fe.upf
O 16.00 O.upf
CELL_PARAMETERS angstrom
0.000 4.050 4.050
4.050 0.000 4.050
4.050 4.050 0.000
ATOMIC_POSITIONS crystal
Nd 0.000 0.000 0.000
Eu 0.500 0.500 0.500
Hf 0.750 0.750 0.750
Fe 0.250 0.250 0.250
O 0.003 0.003 0.497
O 0.003 0.497 0.003
O 0.003 0.497 0.497
O 0.497 0.003 0.003
O 0.497 0.003 0.497
O 0.497 0.497 0.003
```

Computed properties:
Its total moment is 1.185 μB/atom. Its crystal system is cubic. The value obtained for the total energy is -8.82 eV/atom. The total energy after the MP2020 corrections comes out at -9.45 eV/atom. Its calculated density is 7.83 g/cm3.